Entry 1:
DFT (PBE+U) results for Sr2CoMoO6 after structural relaxation.

```
Sr2CoMoO6
1.0
-2.740 2.740 4.165
2.740 -2.740 4.165
2.740 2.740 -4.165
Sr Co Mo O
2 1 1 6
direct
0.250 0.750 0.500 Sr
0.750 0.250 0.500 Sr
0.000 0.000 0.000 Co
0.500 0.500 0.000 Mo
0.250 0.250 0.500 O
0.250 0.750 0.000 O
0.266 0.266 0.000 O
0.734 0.734 0.000 O
0.750 0.250 0.000 O
0.750 0.750 0.500 O
```

* energy: -6.6568 eV per atom
* crystal system: tetragonal
* ΔH_f (0 K): -24.51 eV/f.u.
* total moment: 3.0 μB per formula unit
* space-group type: I4/mmm, No. 139



Entry 2:
DFT (PBE+U) results for Sr2CoMoO6 after structural relaxation.

```
Sr2CoMoO6
1.0
-2.780 2.780 3.937
2.780 -2.780 3.937
2.780 2.780 -3.937
Sr Co Mo O
2 1 1 6
direct
0.250 0.750 0.500 Sr
0.750 0.250 0.500 Sr
0.000 0.000 0.000 Co
0.500 0.500 0.000 Mo
0.216 0.287 0.503 O
0.252 0.252 0.000 O
0.287 0.784 0.071 O
0.713 0.216 0.929 O
0.748 0.748 0.000 O
0.784 0.713 0.497 O
```

* energy: -6.6512 eV per atom
* crystal system: tetragonal
* ΔH_f (0 K): -24.45 eV/f.u.
* total moment: 3.0 μB per formula unit
* space-group type: I4/m, No. 87



Entry 3:
DFT (PBE+U) results for CoTeMoO6 after structural relaxation.

```
CoTeMoO6
1.0
5.116 0.000 0.000
0.000 5.332 0.000
0.000 0.000 9.186
Co Te Mo O
2 2 2 12
direct
0.000 0.000 0.026 Co
0.500 0.500 0.974 Co
0.000 0.500 0.240 Te
0.500 0.000 0.760 Te
0.000 0.500 0.698 Mo
0.500 0.000 0.302 Mo
0.161 0.291 0.584 O
0.219 0.679 0.104 O
0.242 0.185 0.200 O
0.258 0.685 0.800 O
0.281 0.179 0.896 O
0.339 0.791 0.416 O
0.661 0.209 0.416 O
0.719 0.821 0.896 O
0.742 0.315 0.800 O
0.758 0.815 0.200 O
0.781 0.321 0.104 O
0.839 0.709 0.584 O
```

* energy: -6.3201 eV per atom
* crystal system: orthorhombic
* ΔH_f (0 K): -15.06 eV/f.u.
* total moment: 0.0 μB per formula unit
* space-group type: P2_12_12, No. 18



Entry 4:
DFT (PBE+U) results for CoP3NO9 after structural relaxation.

```
CoP3NO9
1.0
4.961 0.000 0.000
0.000 11.686 0.000
0.000 0.000 12.847
Co P N O
4 12 4 36
direct
0.000 0.000 0.000 Co
0.000 0.000 0.500 Co
0.000 0.500 0.000 Co
0.000 0.500 0.500 Co
0.240 0.250 0.000 P
0.240 0.250 0.500 P
0.491 0.578 0.130 P
0.491 0.578 0.370 P
0.491 0.922 0.630 P
0.491 0.922 0.870 P
0.509 0.078 0.130 P
0.509 0.078 0.370 P
0.509 0.422 0.630 P
0.509 0.422 0.870 P
0.760 0.750 0.000 P
0.760 0.750 0.500 P
0.023 0.736 0.750 N
0.023 0.764 0.250 N
0.977 0.236 0.750 N
0.977 0.264 0.250 N
0.083 0.152 0.546 O
0.083 0.152 0.954 O
0.083 0.348 0.046 O
0.083 0.348 0.454 O
0.192 0.556 0.120 O
0.192 0.556 0.380 O
0.192 0.944 0.620 O
0.192 0.944 0.880 O
0.318 0.511 0.585 O
0.318 0.511 0.915 O
0.318 0.989 0.085 O
0.318 0.989 0.415 O
0.443 0.094 0.250 O
0.443 0.205 0.088 O
0.443 0.205 0.412 O
0.443 0.295 0.588 O
0.443 0.295 0.912 O
0.443 0.406 0.750 O
0.557 0.594 0.250 O
0.557 0.705 0.088 O
0.557 0.705 0.412 O
0.557 0.795 0.588 O
0.557 0.795 0.912 O
0.557 0.906 0.750 O
0.682 0.011 0.585 O
0.682 0.011 0.915 O
0.682 0.489 0.085 O
0.682 0.489 0.415 O
0.808 0.056 0.120 O
0.808 0.056 0.380 O
0.808 0.444 0.620 O
0.808 0.444 0.880 O
0.917 0.652 0.546 O
0.917 0.652 0.954 O
0.917 0.848 0.046 O
0.917 0.848 0.454 O
```

* energy: -6.6711 eV per atom
* crystal system: orthorhombic
* ΔH_f (0 K): -25.00 eV/f.u.
* total moment: 3.0 μB per formula unit
* space-group type: Pbcm, No. 57